(1)
# YMg6CrO8 | Materials Project | PBE+U | optimized geometry
# Energy of formation: -2771 meV/atom
# M_tot: 4.6 μB/f.u.
# Volume: 178.3 Å³ per cell
# Offset from the most stable computed form: 43 meV per atom
data_YMg6CrO8
_chemical_formula_sum 'Y1 Mg6 Cr1 O8'
_cell_length_a 4.4054
_cell_length_b 4.4054
_cell_length_c 9.1845
_cell_angle_alpha 90.00
_cell_angle_beta 90.00
_cell_angle_gamma 90.00
_space_group_name_H-M_alt 'P 4/m m m'
_space_group_IT_number 123
_space_group_name_Hall '-P 4 2'
loop_
_atom_site_label
_atom_site_type_symbol
_atom_site_fract_x
_atom_site_fract_y
_atom_site_fract_z
Y1 Y 0.0000 0.0000 0.0000
Mg1 Mg 0.0000 0.5000 0.2684
Mg2 Mg 0.5000 0.5000 0.0000
Mg3 Mg 0.5000 0.5000 0.5000
Cr1 Cr 0.0000 0.0000 0.5000
O1 O 0.0000 0.0000 0.2431
O2 O 0.0000 0.5000 0.0000
O3 O 0.0000 0.5000 0.5000
O4 O 0.5000 0.5000 0.2524

=====

(2)
# K2Mo2H12C4NO3F9 | Materials Project | PBE+U | optimized geometry
# Energy of formation: -1312 meV/atom
# M_tot: 3.7 μB/f.u.
# Volume: 1770.4 Å³ per cell
data_K2Mo2H12C4NO3F9
_chemical_formula_sum 'K8 Mo8 H48 C16 N4 O12 F36'
_cell_length_a 6.4761
_cell_length_b 21.2977
_cell_length_c 12.8361
_cell_angle_alpha 90.00
_cell_angle_beta 90.00
_cell_angle_gamma 90.00
_space_group_name_H-M_alt 'A e m 2'
_space_group_IT_number 39
loop_
_space_group_symop_operation_xyz
'x,y,z'
'-x,-y,z'
'-x,y+1/2,z'
'x,-y+1/2,z'
'x,y+1/2,z+1/2'
'-x,-y+1/2,z+1/2'
'-x,y,z+1/2'
'x,-y,z+1/2'
loop_
_atom_site_label
_atom_site_type_symbol
_atom_site_fract_x
_atom_site_fract_y
_atom_site_fract_z
K1 K 0.0704 0.2500 0.0000
K2 K 0.4159 0.2500 0.7155
Mo1 Mo 0.4351 0.1466 0.4693
H1 H 0.0225 0.0716 0.8333
H2 H 0.0423 0.0703 0.1022
H3 H 0.2142 0.0752 0.7344
H4 H 0.2322 0.0159 0.8339
H5 H 0.2345 0.0091 0.1014
H6 H 0.2354 0.0690 0.2008
C1 C 0.1270 0.0435 0.7851
C2 C 0.1390 0.0396 0.1504
N1 N 0.0000 0.0000 0.2179
O1 O 0.0312 0.2500 0.2304
O2 O 0.4462 0.0662 0.4666
F1 F 0.2021 0.1564 0.5699
F2 F 0.2419 0.1592 0.3527
F3 F 0.3317 0.1683 0.8754
F4 F 0.3743 0.1654 0.0864
F5 F 0.4077 0.2500 0.4762

=====

(3)
# Li8Mn3Fe5B8O24 | Materials Project | PBE+U | optimized geometry
# Energy of formation: -2397 meV/atom
# M_tot: 35.0 μB/f.u.
# Volume: 495.2 Å³ per cell
# Offset from the most stable computed form: 0 meV per atom
data_Li8Mn3Fe5B8O24
_chemical_formula_sum 'Li8 Mn3 Fe5 B8 O24'
_cell_length_a 5.2404
_cell_length_b 5.2468
_cell_length_c 20.7784
_cell_angle_alpha 90.71
_cell_angle_beta 90.58
_cell_angle_gamma 119.89
_space_group_name_H-M_alt 'P 1'
_space_group_IT_number 1
loop_
_space_group_symop_operation_xyz
'x,y,z'
loop_
_atom_site_label
_atom_site_type_symbol
_atom_site_fract_x
_atom_site_fract_y
_atom_site_fract_z
Li1 Li 0.0000 0.0000 0.0000
Li2 Li 0.0001 0.0004 0.4996
Li3 Li 0.0093 0.9861 0.2508
Li4 Li 0.0118 0.9864 0.7502
Li5 Li 0.3173 0.3310 0.6248
Li6 Li 0.3180 0.3313 0.1250
Li7 Li 0.3393 0.3020 0.3745
Li8 Li 0.3429 0.3059 0.8749
Mn1 Mn 0.6646 0.9761 0.8578
Mn2 Mn 0.9873 0.6529 0.1083
Mn3 Mn 0.9877 0.6528 0.6077
Fe1 Fe 0.3407 0.6531 0.9829
Fe2 Fe 0.3424 0.6544 0.4820
Fe3 Fe 0.6550 0.9759 0.3579
Fe4 Fe 0.6650 0.3270 0.7328
Fe5 Fe 0.6665 0.3265 0.2333
B1 B 0.0035 0.6503 0.3544
B2 B 0.0043 0.6496 0.8542
B3 B 0.3340 0.6580 0.7296
B4 B 0.3348 0.6577 0.2303
B5 B 0.6617 0.9923 0.1044
B6 B 0.6615 0.9921 0.6040
B7 B 0.6716 0.3223 0.9795
B8 B 0.6727 0.3226 0.4787
O1 O 0.0230 0.9206 0.3482
O2 O 0.0342 0.9256 0.8473
O3 O 0.0833 0.6776 0.2159
O4 O 0.0834 0.6787 0.7150
O5 O 0.2414 0.6188 0.8749
O6 O 0.2495 0.6273 0.3733
O7 O 0.3158 0.3852 0.7234
O8 O 0.3168 0.3845 0.2240
O9 O 0.3987 0.3045 0.9732
O10 O 0.3995 0.3056 0.4726
O11 O 0.4114 0.7221 0.0888
O12 O 0.4115 0.7221 0.5881
O13 O 0.5963 0.9062 0.7486
O14 O 0.5966 0.9055 0.2492
O15 O 0.6311 0.2293 0.1251
O16 O 0.6309 0.2291 0.6249
O17 O 0.6920 0.0715 0.9650
O18 O 0.6940 0.0731 0.4641
O19 O 0.7339 0.3997 0.8384
O20 O 0.7377 0.3927 0.3397
O21 O 0.9194 0.5841 0.9988
O22 O 0.9209 0.5844 0.4980
O23 O 0.9380 0.0219 0.0974
O24 O 0.9378 0.0217 0.5972